(1)
An optimized crystal structure of La4Mo7O27. Source: the Materials Project database, functional PBE with a Hubbard U.

Results
energy of formation	-2572	meV per atom
SG	Pca2_1
calculated density	4459	kg/m³
magnetic moment	0.001	μB per cell
uncorrected energy	-7.527	eV/atom

Unit cell a=7.3916 b=14.3422 c=23.3137 alpha=90.00 beta=90.00 gamma=90.00
Closest atoms and distances in Å follow each position.
Fractional positions:
La 0.0166 0.8404 0.1124  7 O 2.39-2.65
La 0.9964 0.4028 0.8487  8 O 2.45-2.68
La 0.0166 0.6596 0.6124  7 O 2.39-2.65
La 0.5090 0.7011 0.1056  7 O 2.37-2.60
La 0.9834 0.3404 0.1124  7 O 2.39-2.65
La 0.4855 0.5388 0.8459  7 O 2.38-2.59
La 0.5090 0.7989 0.6056  7 O 2.37-2.60
La 0.0036 0.5972 0.3487  8 O 2.45-2.68
La 0.9834 0.1596 0.6124  7 O 2.39-2.65
La 0.5145 0.0388 0.8459  7 O 2.38-2.59
La 0.4910 0.2011 0.1056  7 O 2.37-2.60
La 0.4910 0.2989 0.6056  7 O 2.37-2.60
La 0.0036 0.9028 0.8487  8 O 2.45-2.68
La 0.9964 0.0972 0.3487  8 O 2.45-2.68
La 0.4855 0.9612 0.3459  7 O 2.38-2.59
La 0.5145 0.4612 0.3459  7 O 2.38-2.59
Mo 0.9855 0.8677 0.2899  4 O 1.78-1.83
Mo 0.5105 0.8080 0.7910  4 O 1.78-1.82
Mo 0.3229 0.0736 0.5003  4 O 1.75-1.83
Mo 0.6771 0.9264 0.0003  4 O 1.75-1.83
Mo 0.3229 0.4264 0.0003  4 O 1.75-1.83
Mo 0.7879 0.9772 0.4864  4 O 1.78-1.98
Mo 0.5046 0.4330 0.1709  4 O 1.77-1.84
Mo 0.6771 0.5736 0.5003  4 O 1.75-1.83
Mo 0.8124 0.1904 0.9662  4 O 1.76-1.87
Mo 0.5105 0.6920 0.2910  4 O 1.78-1.82
Mo 0.1876 0.8096 0.4662  4 O 1.76-1.87
Mo 0.0145 0.1323 0.7899  4 O 1.78-1.83
Mo 0.4895 0.3080 0.7910  4 O 1.78-1.82
Mo 0.9929 0.6137 0.1673  4 O 1.78-1.83
Mo 0.4895 0.1920 0.2910  4 O 1.78-1.82
Mo 0.4954 0.5670 0.6709  4 O 1.77-1.84
Mo 0.9929 0.8863 0.6673  4 O 1.78-1.83
Mo 0.0071 0.3863 0.6673  4 O 1.78-1.83
Mo 0.5046 0.0670 0.6709  4 O 1.77-1.84
Mo 0.2121 0.4772 0.4864  4 O 1.78-1.98
Mo 0.0071 0.1137 0.1673  4 O 1.78-1.83
Mo 0.8124 0.3096 0.4662  4 O 1.76-1.87
Mo 0.1876 0.6904 0.9662  4 O 1.76-1.87
Mo 0.4954 0.9330 0.1709  4 O 1.77-1.84
Mo 0.9855 0.6323 0.7899  4 O 1.78-1.83
Mo 0.2121 0.0228 0.9864  4 O 1.78-1.98
Mo 0.0145 0.3677 0.2899  4 O 1.78-1.83
Mo 0.7879 0.5228 0.9864  4 O 1.78-1.98
O 0.7610 0.5066 0.9084  1 Mo 1.85
O 0.1499 0.5664 0.8326  1 Mo 1.83
O 0.5164 0.7025 0.8314  1 Mo 1.78
O 0.3423 0.3980 0.5281  1 Mo 1.78
O 0.9427 0.3446 0.2180  1 Mo 1.79
O 0.5265 0.5475 0.1423  1 Mo 1.78
O 0.7183 0.8905 0.1605  1 Mo 1.77
O 0.2456 0.7623 0.5355  1 Mo 1.80
O 0.5676 0.0698 0.4899  1 Mo 1.83
O 0.6266 0.3690 0.4345  1 Mo 1.78
O 0.3211 0.3910 0.8164  1 Mo 1.82
O 0.2083 0.4417 0.2936  1 Mo 1.78
O 0.2083 0.0583 0.7936  1 Mo 1.78
O 0.9825 0.8850 0.4724  2 Mo 1.87-1.98
O 0.7335 0.6767 0.5433  1 Mo 1.83
O 0.3734 0.6310 0.9345  1 Mo 1.78
O 0.8501 0.0664 0.8326  1 Mo 1.83
O 0.4749 0.2172 0.2164  1 Mo 1.78
O 0.1995 0.8295 0.6476  1 Mo 1.79
O 0.4735 0.0475 0.1423  1 Mo 1.78
O 0.0631 0.2591 0.3235  1 Mo 1.78
O 0.0573 0.6554 0.7180  1 Mo 1.79
O 0.8005 0.1705 0.1476  1 Mo 1.79
O 0.7183 0.6095 0.6605  1 Mo 1.77
O 0.6789 0.6090 0.3164  1 Mo 1.82
O 0.2456 0.7377 0.0355  1 Mo 1.80
O 0.0631 0.2409 0.8235  1 Mo 1.78
O 0.0573 0.8446 0.2180  1 Mo 1.79
O 0.8705 0.2863 0.9226  1 Mo 1.76
O 0.7799 0.5712 0.4297  1 Mo 1.81
O 0.0376 0.0033 0.1342  1 Mo 1.78
O 0.2665 0.3233 0.0433  1 Mo 1.83
O 0.5251 0.7172 0.2164  1 Mo 1.78
O 0.3211 0.1090 0.3164  1 Mo 1.82
O 0.9194 0.0623 0.5228  1 Mo 1.78
O 0.2677 0.9730 0.5388  1 Mo 1.75
O 0.5676 0.4302 0.9899  1 Mo 1.83
O 0.6577 0.6020 0.0281  1 Mo 1.78
O 0.9756 0.5985 0.2426  1 Mo 1.78
O 0.4836 0.2975 0.3314  1 Mo 1.78
O 0.2665 0.1767 0.5433  1 Mo 1.83
O 0.8705 0.2137 0.4226  1 Mo 1.76
O 0.5164 0.7975 0.3314  1 Mo 1.78
O 0.1995 0.6705 0.1476  1 Mo 1.79
O 0.1295 0.7863 0.9226  1 Mo 1.76
O 0.9427 0.1554 0.7180  1 Mo 1.79
O 0.4749 0.2828 0.7164  1 Mo 1.78
O 0.9624 0.5033 0.1342  1 Mo 1.78
O 0.4324 0.9302 0.9899  1 Mo 1.83
O 0.1295 0.7137 0.4226  1 Mo 1.76
O 0.2390 0.4934 0.4084  1 Mo 1.85
O 0.3108 0.6271 0.3093  1 Mo 1.80
O 0.0244 0.0985 0.2426  1 Mo 1.78
O 0.3108 0.8729 0.8093  1 Mo 1.80
O 0.0376 0.4967 0.6342  1 Mo 1.78
O 0.5251 0.7828 0.7164  1 Mo 1.78
O 0.1695 0.3024 0.6377  1 Mo 1.83
O 0.1499 0.9336 0.3326  1 Mo 1.83
O 0.3423 0.1020 0.0281  1 Mo 1.78
O 0.2390 0.0066 0.9084  1 Mo 1.85
O 0.8305 0.8024 0.6377  1 Mo 1.83
O 0.3508 0.8536 0.1293  1 Mo 1.84
O 0.4357 0.5613 0.7450  1 Mo 1.79
O 0.1695 0.1976 0.1377  1 Mo 1.83
O 0.9825 0.6150 0.9724  2 Mo 1.87-1.98
O 0.7544 0.2377 0.0355  1 Mo 1.80
O 0.6492 0.3536 0.1293  1 Mo 1.84
O 0.8501 0.4336 0.3326  1 Mo 1.83
O 0.6892 0.3729 0.8093  1 Mo 1.80
O 0.7544 0.2623 0.5355  1 Mo 1.80
O 0.6892 0.1271 0.3093  1 Mo 1.80
O 0.6492 0.1464 0.6293  1 Mo 1.84
O 0.6577 0.8980 0.5281  1 Mo 1.78
O 0.7799 0.9288 0.9297  1 Mo 1.81
O 0.4324 0.5698 0.4899  1 Mo 1.83
O 0.9194 0.4377 0.0228  1 Mo 1.78
O 0.3734 0.8690 0.4345  1 Mo 1.78
O 0.8005 0.3295 0.6476  1 Mo 1.79
O 0.2817 0.3905 0.1605  1 Mo 1.77
O 0.6266 0.1310 0.9345  1 Mo 1.78
O 0.5643 0.0613 0.7450  1 Mo 1.79
O 0.9369 0.7409 0.8235  1 Mo 1.78
O 0.0175 0.3850 0.4724  2 Mo 1.87-1.98
O 0.9624 0.9967 0.6342  1 Mo 1.78
O 0.3508 0.6464 0.6293  1 Mo 1.84
O 0.7323 0.0270 0.0388  1 Mo 1.75
O 0.0806 0.9377 0.0228  1 Mo 1.78
O 0.8305 0.6976 0.1377  1 Mo 1.83
O 0.4735 0.4525 0.6423  1 Mo 1.78
O 0.9756 0.9015 0.7426  1 Mo 1.78
O 0.9369 0.7591 0.3235  1 Mo 1.78
O 0.4836 0.2025 0.8314  1 Mo 1.78
O 0.4357 0.9387 0.2450  1 Mo 1.79
O 0.2201 0.4288 0.9297  1 Mo 1.81
O 0.6789 0.8910 0.8164  1 Mo 1.82
O 0.7335 0.8233 0.0433  1 Mo 1.83
O 0.0175 0.1150 0.9724  2 Mo 1.87-1.98
O 0.7917 0.9417 0.2936  1 Mo 1.78
O 0.0244 0.4015 0.7426  1 Mo 1.78
O 0.7917 0.5583 0.7936  1 Mo 1.78
O 0.7323 0.4730 0.5388  1 Mo 1.75
O 0.0806 0.5623 0.5228  1 Mo 1.78
O 0.5265 0.9525 0.6423  1 Mo 1.78
O 0.2677 0.5270 0.0388  1 Mo 1.75
O 0.5643 0.4387 0.2450  1 Mo 1.79
O 0.7610 0.9934 0.4084  1 Mo 1.85
O 0.2201 0.0712 0.4297  1 Mo 1.81
O 0.2817 0.1095 0.6605  1 Mo 1.77


(2)
An optimized crystal structure of Ta2CrNO5. Source: the Materials Project database, functional PBE with a Hubbard U.

Results
energy of formation	-2636	meV per atom
excess energy over the best structure of this formula in the dataset	9	meV/atom
calculated density	8058	kg/m³
magnetic moment	0.000	μB per cell
uncorrected energy	-9.415	eV/atom

Unit cell a=4.7602 b=10.3681 c=9.5201 alpha=63.01 beta=90.06 gamma=90.33
Closest atoms and distances in Å follow each position.
Fractional positions:
Ta 0.9907 0.3440 0.3234  1 N 1.91, 4 O 1.97-2.05
Ta 0.9907 0.3440 0.8234  1 N 1.91, 4 O 1.97-2.05
Ta 0.9855 0.6740 0.1558  2 N 1.93-2.02, 3 O 2.03-2.05
Ta 0.9855 0.6740 0.6558  2 N 1.93-2.02, 3 O 2.03-2.05
Ta 0.4949 0.1669 0.1640  6 O 1.96-2.09
Ta 0.4949 0.1669 0.6640  6 O 1.96-2.09
Ta 0.5110 0.8297 0.8407  1 N 1.96, 5 O 1.99-2.10
Ta 0.5110 0.8297 0.3407  1 N 1.96, 5 O 1.99-2.10
Cr 0.0031 0.9999 0.5016  1 N 2.04, 5 O 2.04-2.07
Cr 0.5014 0.4986 0.0014  1 N 2.04, 5 O 2.04-2.06
Cr 0.0031 0.9999 0.0016  1 N 2.04, 5 O 2.04-2.07
Cr 0.5014 0.4986 0.5014  1 N 2.04, 5 O 2.04-2.06
N 0.8022 0.8339 0.9841  2 Ta 1.93-1.96, 1 Cr 2.04
N 0.8022 0.8339 0.4841  2 Ta 1.93-1.96, 1 Cr 2.04
N 0.8040 0.4983 0.1528  2 Ta 1.91-2.02, 1 Cr 2.04
N 0.8040 0.4983 0.6528  2 Ta 1.91-2.02, 1 Cr 2.04
O 0.1979 0.4954 0.8513  2 Ta 1.97-2.19, 1 Cr 2.04
O 0.1979 0.4954 0.3513  2 Ta 1.97-2.19, 1 Cr 2.04
O 0.1988 0.8312 0.6838  2 Ta 2.03-2.10, 1 Cr 2.05
O 0.1988 0.8312 0.1838  2 Ta 2.03-2.10, 1 Cr 2.05
O 0.2036 0.1667 0.0185  2 Ta 1.96-2.19, 1 Cr 2.04
O 0.2036 0.1667 0.5185  2 Ta 1.96-2.19, 1 Cr 2.04
O 0.8057 0.1683 0.3187  2 Ta 2.04-2.09, 1 Cr 2.05
O 0.8057 0.1683 0.8187  2 Ta 2.04-2.09, 1 Cr 2.05
O 0.3066 0.3274 0.1858  2 Ta 1.99-2.05, 1 Cr 2.06
O 0.3066 0.3274 0.6858  2 Ta 1.99-2.05, 1 Cr 2.06
O 0.6990 0.3273 0.9896  2 Ta 1.99-2.05, 1 Cr 2.06
O 0.6990 0.3273 0.4896  2 Ta 1.99-2.05, 1 Cr 2.06
O 0.3017 0.6684 0.0122  2 Ta 1.99-2.05, 1 Cr 2.05
O 0.3017 0.6684 0.5122  2 Ta 1.99-2.05, 1 Cr 2.05
O 0.6928 0.6685 0.8166  2 Ta 1.99-2.05, 1 Cr 2.05
O 0.6928 0.6685 0.3166  2 Ta 1.99-2.05, 1 Cr 2.05
O 0.3077 0.0008 0.3463  2 Ta 2.01-2.05, 1 Cr 2.07
O 0.3077 0.0008 0.8463  2 Ta 2.01-2.05, 1 Cr 2.07
O 0.6934 0.0008 0.1535  2 Ta 2.01-2.05, 1 Cr 2.07
O 0.6934 0.0008 0.6535  2 Ta 2.01-2.05, 1 Cr 2.07


(3)
An optimized crystal structure of Li2V3SnO8. Source: the Materials Project database, functional PBE with a Hubbard U.

Results
energy of formation	-2429	meV per atom
SG	Cc
excess energy over the best structure of this formula in the dataset	0	meV/atom
calculated density	4484	kg/m³
magnetic moment	10.000	μB per cell
uncorrected energy	-7.005	eV/atom

Unit cell a=6.0140 b=6.0140 c=9.8315 alpha=89.94 beta=89.94 gamma=120.56
Closest atoms and distances in Å follow each position.
Fractional positions:
Li 0.3377 0.6705 0.8953  4 O 1.98-2.06
Li 0.9938 0.9980 0.9928  4 O 1.84-1.99
Li 0.9980 0.9938 0.4928  4 O 1.84-1.99
Li 0.6705 0.3377 0.3953  4 O 1.98-2.06
V 0.6526 0.8277 0.2192  6 O 1.90-2.11
V 0.1664 0.8295 0.2113  6 O 2.01-2.09
V 0.8295 0.1664 0.7113  6 O 2.01-2.09
V 0.3429 0.1708 0.7139  6 O 2.01-2.10
V 0.1708 0.3429 0.2139  6 O 2.01-2.10
V 0.8277 0.6526 0.7192  6 O 1.90-2.11
Sn 0.3295 0.6655 0.4924  6 O 2.06-2.18
Sn 0.6655 0.3295 0.9924  6 O 2.06-2.18
O 0.6748 0.8377 0.6030  1 Li 1.99, 2 V 2.01-2.11, 1 Sn 2.09
O 0.4924 0.5273 0.3428  2 V 1.97-2.10, 1 Li 1.99, 1 Sn 2.15
O 0.3571 0.6742 0.1044  3 V 1.90-2.09, 1 Li 2.06
O 0.9813 0.9967 0.3065  1 Li 1.84, 2 V 1.91-2.01
O 0.9967 0.9813 0.8065  1 Li 1.84, 2 V 1.91-2.01
O 0.1582 0.3190 0.6007  1 Li 1.99, 2 V 2.02-2.07, 1 Sn 2.08
O 0.4878 0.9680 0.3378  2 V 1.98-2.08, 1 Li 2.00, 1 Sn 2.18
O 0.0357 0.5144 0.3372  1 Li 1.98, 2 V 2.01-2.05, 1 Sn 2.16
O 0.8344 0.1565 0.0965  1 Li 1.95, 1 Sn 2.06, 2 V 2.09
O 0.1565 0.8344 0.5965  1 Li 1.95, 1 Sn 2.06, 2 V 2.09
O 0.9680 0.4878 0.8378  2 V 1.98-2.08, 1 Li 2.00, 1 Sn 2.18
O 0.5144 0.0357 0.8372  1 Li 1.98, 2 V 2.01-2.05, 1 Sn 2.16
O 0.6742 0.3571 0.6044  3 V 1.90-2.09, 1 Li 2.06
O 0.8377 0.6748 0.1030  1 Li 1.99, 2 V 2.01-2.11, 1 Sn 2.09
O 0.5273 0.4924 0.8428  2 V 1.97-2.10, 1 Li 1.99, 1 Sn 2.15
O 0.3190 0.1582 0.1007  1 Li 1.99, 2 V 2.02-2.07, 1 Sn 2.08


(4)
An optimized crystal structure of La11V4O26. Source: the Materials Project database, functional PBE with a Hubbard U.

Results
energy of formation	-3499	meV per atom
SG	P-1
calculated density	5322	kg/m³
magnetic moment	1.000	μB per cell
uncorrected energy	-8.246	eV/atom

Unit cell a=7.1167 b=10.2902 c=10.3671 alpha=77.29 beta=71.42 gamma=69.79
Closest atoms and distances in Å follow each position.
Fractional positions:
La 0.1775 0.6387 0.6610  5 O 2.35-2.54
La 0.2787 0.9851 0.4051  5 O 2.29-2.54
La 0.8225 0.3613 0.3390  5 O 2.35-2.54
La 0.7213 0.0149 0.5949  5 O 2.29-2.54
La 0.1236 0.9700 0.8078  5 O 2.33-2.56
La 0.8764 0.0300 0.1922  5 O 2.33-2.56
La 0.0190 0.3312 0.9533  6 O 2.36-2.49
La 0.9810 0.6688 0.0467  6 O 2.36-2.49
La 0.5904 0.6572 0.8429  6 O 2.40-2.62
La 0.4096 0.3428 0.1571  6 O 2.40-2.62
La 0.5000 0.0000 0.0000  6 O 2.42-2.54
V 0.5996 0.3174 0.8051  4 O 1.74-1.80
V 0.4004 0.6826 0.1949  4 O 1.74-1.80
V 0.7234 0.7282 0.4576  4 O 1.72-1.77
V 0.2766 0.2718 0.5424  4 O 1.72-1.77
O 0.8632 0.6314 0.3238  1 V 1.72
O 0.1368 0.3686 0.6762  1 V 1.72
O 0.3955 0.2637 0.9374  1 V 1.80
O 0.6045 0.7363 0.0626  1 V 1.80
O 0.3243 0.6057 0.0869  1 V 1.80
O 0.6757 0.3943 0.9131  1 V 1.80
O 0.1751 0.3155 0.3991  1 V 1.76
O 0.8249 0.6845 0.6009  1 V 1.76
O 0.2307 0.8486 0.2480  1 V 1.80
O 0.7693 0.1514 0.7520  1 V 1.80
O 0.5347 0.2667 0.4983  1 V 1.73
O 0.4653 0.7333 0.5017  1 V 1.73
O 0.7634 0.2735 0.1675  4 La 2.33-2.49
O 0.2366 0.7265 0.8325  4 La 2.33-2.49
O 0.5165 0.4615 0.6908  1 V 1.74
O 0.1365 0.0816 0.9891  4 La 2.39-2.46
O 0.8635 0.9184 0.0109  4 La 2.39-2.46
O 0.3012 0.0921 0.5946  1 V 1.77
O 0.6988 0.9079 0.4054  1 V 1.77
O 0.0491 0.8925 0.6160  4 La 2.29-2.56
O 0.4835 0.5385 0.3092  1 V 1.74
O 0.0545 0.4201 0.1326  4 La 2.35-2.45
O 0.9455 0.5799 0.8674  4 La 2.35-2.45
O 0.5163 0.9063 0.8012  4 La 2.40-2.62
O 0.4837 0.0937 0.1988  4 La 2.40-2.62
O 0.9509 0.1075 0.3840  4 La 2.29-2.56